NdPt (PBE, relaxed); calculated formation energy = -1.1414 eV per atom
1.0
7.333 0.000 0.000
0.000 4.661 0.000
0.000 0.000 5.712
Nd Pt
4 4
Direct
0.181 0.250 0.137 Nd
0.319 0.750 0.637 Nd
0.681 0.250 0.363 Nd
0.819 0.750 0.863 Nd
0.045 0.250 0.650 Pt
0.455 0.750 0.150 Pt
0.545 0.250 0.850 Pt
0.955 0.750 0.350 Pt